Below is a relaxed structure of KEuBiSbO6, with properties calculated at the PBE-GGA level.

```
10
Lattice="0.0000 -4.2209 -4.2209 4.2209 0.0000 -4.2209 4.2209 -4.2209 0.0000" Properties=species:S:1:pos:R:3 pbc="T T T"
Eu 2.1104 -2.1104 -2.1104
Bi 0.0000 0.0000 0.0000
O 4.2209 -4.2209 -2.2208
O 2.2208 -4.2209 -4.2209
O 4.2209 -4.2209 -6.2209
O 4.2209 -2.2208 -4.2209
O 6.2209 -4.2209 -4.2209
O 4.2209 -6.2209 -4.2209
Sb 4.2209 -4.2209 -4.2209
K 6.3313 -6.3313 -6.3313
```

Output
The formation energy from the elements comes out at -2076 meV/atom. For the magnetization, the calculation gives 6.402 μB/cell.

=====

Below is a relaxed structure of KEuZrBiO6, with properties calculated at the PBE-GGA level.

```
10
Lattice="0.0000 -4.2213 -4.2213 4.2213 0.0000 -4.2213 4.2213 -4.2213 0.0000" Properties=species:S:1:pos:R:3 pbc="T T T"
O 4.2213 -4.2213 -6.3136
O 4.2213 -6.3136 -4.2213
O 4.2213 -4.2213 -2.1289
O 2.1289 -4.2213 -4.2213
O 6.3136 -4.2213 -4.2213
O 4.2213 -2.1289 -4.2213
Eu 6.3319 -6.3319 -6.3319
Zr 4.2213 -4.2213 -4.2213
Bi 0.0000 0.0000 0.0000
K 2.1106 -2.1106 -2.1106
```

Output
The formation energy from the elements comes out at -2565 meV/atom. For the magnetization, the calculation gives 6.822 μB/cell. The distance to the lowest polymorph of the same formula comes out at 41.6 meV per atom.

=====

Below is a relaxed structure of KEuZrBiO6, with properties calculated at the PBE-GGA level.

```
40
Lattice="-4.4816 6.9917 1.3488 -2.9547 -0.3571 -7.9664 -6.5311 -4.6943 2.6328" Properties=species:S:1:pos:R:3 pbc="T T T"
Bi -10.4756 1.4552 -2.9886
Bi -4.9692 0.3065 -4.9794
Bi -5.7327 3.9809 -0.3218
Bi -6.7574 -1.8621 0.3202
O -2.5949 0.8854 0.9006
O -6.8135 3.8431 -2.2065
O -9.7465 -3.3386 -3.0211
O -4.5459 2.2764 -0.8467
O -4.3888 0.0847 -2.8930
O -6.7230 -0.7426 -4.3050
O -10.7066 0.6173 1.6507
O -9.3011 -2.1767 -5.5088
O -7.2898 2.6502 0.3385
O -8.7368 2.5026 -3.7036
O -8.4704 5.4454 -4.0723
O -2.4378 -1.3063 -1.1457
O -1.7985 1.4997 -1.6928
O -5.9496 2.1594 -4.5377
O -7.1684 -1.9045 -1.8173
O -5.6833 5.1022 -4.9064
O -5.1852 -0.5296 -0.2996
O -7.0792 -3.6963 -4.1785
O -9.5642 1.8573 -1.0529
O -7.6066 3.7617 -6.4035
O -9.9474 3.4378 1.4269
O -8.4323 1.4102 3.0421
O -8.0491 -0.1703 0.5623
O -9.3903 -0.3849 -3.1476
Eu -4.7429 -2.5257 -2.6668
Eu -2.2408 3.4958 0.6744
Eu 0.0000 0.0000 0.0000
Eu -6.9837 0.9701 -1.9924
K -3.7182 3.3173 -3.3088
K -5.5064 1.1487 1.9908
K -3.2656 -2.3472 1.3164
K -1.4774 -0.1785 -3.9832
Zr -3.4919 0.4851 -0.9962
Zr -8.9982 1.6337 0.9946
Zr -8.2348 -2.0406 -3.6630
Zr -7.2100 3.8024 -4.3050
```

Output
The formation energy from the elements comes out at -2606 meV/atom. For the magnetization, the calculation gives 0.120 μB/cell. The distance to the lowest polymorph of the same formula comes out at 0.0 meV per atom.

=====

Below is a relaxed structure of EuMg2Bi2, with properties calculated at the PBE-GGA level.

```
5
Lattice="1.1424 1.9077 -4.3059 -2.5891 -4.0902 0.2281 -6.6393 4.2084 0.1030" Properties=species:S:1:pos:R:3 pbc="T T T"
Mg -3.8151 -0.5254 -1.2449
Mg -4.2709 2.5512 -2.7299
Bi -1.7282 0.9395 -2.7693
Bi -6.3578 1.0863 -1.2055
Eu 0.0000 0.0000 0.0000
```

Output
The formation energy from the elements comes out at -555 meV/atom.

=====

Below is a relaxed structure of SrEuMgBiO6, with properties calculated at the PBE-GGA level.

```
10
Lattice="0.0000 -4.1245 -4.1245 4.1245 0.0000 -4.1245 4.1245 -4.1245 0.0000" Properties=species:S:1:pos:R:3 pbc="T T T"
O 4.1245 -4.1245 -2.0913
O 4.1245 -4.1245 -6.1576
O 2.0913 -4.1245 -4.1245
O 6.1576 -4.1245 -4.1245
O 4.1245 -2.0913 -4.1245
O 4.1245 -6.1576 -4.1245
Sr 2.0622 -2.0622 -2.0622
Bi 0.0000 0.0000 0.0000
Mg 4.1245 -4.1245 -4.1245
Eu 6.1867 -6.1867 -6.1867
```

Output
The formation energy from the elements comes out at -2421 meV/atom. For the magnetization, the calculation gives 6.000 μB/cell.

=====

Below is a relaxed structure of Eu2NbBiO6, with properties calculated at the PBE-GGA level.

```
10
Lattice="0.0000 -4.3019 -4.3019 4.3019 0.0000 -4.3019 4.3019 -4.3019 0.0000" Properties=species:S:1:pos:R:3 pbc="T T T"
O 4.3019 -4.3019 -2.2961
O 4.3019 -4.3019 -6.3077
O 4.3019 -2.2961 -4.3019
O 4.3019 -6.3077 -4.3019
O 2.2961 -4.3019 -4.3019
O 6.3077 -4.3019 -4.3019
Eu 2.1509 -2.1509 -2.1509
Eu 6.4528 -6.4528 -6.4528
Nb 4.3019 -4.3019 -4.3019
Bi 0.0000 0.0000 0.0000
```

Output
The formation energy from the elements comes out at -2676 meV/atom. For the magnetization, the calculation gives 14.000 μB/cell. The distance to the lowest polymorph of the same formula comes out at 108.7 meV per atom.

=====

Below is a relaxed structure of Eu2NbBiO6, with properties calculated at the PBE-GGA level.

```
40
Lattice="8.5234 0.0000 0.0000 0.0000 8.5234 0.0000 0.0000 0.0000 8.5234" Properties=species:S:1:pos:R:3 pbc="T T T"
O 2.5438 4.4282 6.7343
O 5.9796 4.0952 6.7343
O 8.3569 2.4726 6.8055
O 6.7343 2.5438 4.4282
O 2.5438 4.0952 1.7891
O 6.0508 6.8055 0.1665
O 4.4282 6.7343 2.5438
O 6.7343 5.9796 4.0952
O 4.4282 1.7891 5.9796
O 4.0952 1.7891 2.5438
O 8.3569 6.0508 1.7179
O 1.7179 0.1665 2.4726
O 6.8055 8.3569 2.4726
O 6.8055 0.1665 6.0508
O 4.0952 6.7343 5.9796
O 1.7891 2.5438 4.0952
O 0.1665 6.0508 6.8055
O 1.7891 5.9796 4.4282
O 1.7179 8.3569 6.0508
O 0.1665 2.4726 1.7179
O 5.9796 4.4282 1.7891
O 2.4726 1.7179 0.1665
O 6.0508 1.7179 8.3569
O 2.4726 6.8055 8.3569
Bi 6.3925 2.1308 2.1308
Bi 2.1308 2.1308 6.3925
Bi 6.3925 6.3925 6.3925
Bi 2.1308 6.3925 2.1308
Eu 0.0000 4.2617 4.2617
Eu 4.2617 0.0000 0.0000
Eu 0.0000 0.0000 0.0000
Eu 4.2617 4.2617 4.2617
Eu 0.0000 4.2617 0.0000
Eu 0.0000 0.0000 4.2617
Eu 4.2617 4.2617 0.0000
Eu 4.2617 0.0000 4.2617
Nb 6.3925 6.3925 2.1308
Nb 2.1308 2.1308 2.1308
Nb 6.3925 2.1308 6.3925
Nb 2.1308 6.3925 6.3925
```

Output
The formation energy from the elements comes out at -2784 meV/atom. For the magnetization, the calculation gives 56.022 μB/cell. The distance to the lowest polymorph of the same formula comes out at 0.0 meV per atom.

=====

Below is a relaxed structure of EuNbZnBiO6, with properties calculated at the PBE-GGA level.

```
10
Lattice="0.9304 3.7712 -4.1945 -3.6834 4.2869 -0.8585 1.5139 5.3658 1.2643" Properties=species:S:1:pos:R:3 pbc="T T T"
O -2.1726 5.4827 -1.3693
O -1.7010 7.3943 -3.4955
O -1.4052 8.2026 -0.7285
O 0.4618 6.0296 -0.2933
O 0.9334 7.9412 -2.4194
O 0.1661 5.2213 -3.0603
Nb 0.0000 0.0000 0.0000
Zn -0.6196 6.7120 -1.8944
Bi -0.3098 3.3560 -0.9472
Eu -0.9294 10.0679 -2.8416
```

Output
The formation energy from the elements comes out at -2362 meV/atom. For the magnetization, the calculation gives 6.869 μB/cell.

=====

Below is a relaxed structure of Eu2BiSbO6, with properties calculated at the PBE-GGA level.

```
40
Lattice="8.5092 0.0000 0.0000 0.0000 8.5092 0.0000 0.0000 0.0000 8.5092" Properties=species:S:1:pos:R:3 pbc="T T T"
Eu 4.2546 0.0000 0.0000
Eu 0.0000 4.2546 4.2546
Eu 4.2546 0.0000 4.2546
Eu 0.0000 0.0000 4.2546
Eu 0.0000 4.2546 0.0000
Eu 4.2546 4.2546 0.0000
Eu 0.0000 0.0000 0.0000
Eu 4.2546 4.2546 4.2546
O 6.7244 5.9585 4.0876
O 6.0394 6.8053 0.1670
O 0.1670 2.4698 1.7039
O 4.0876 6.7244 5.9585
O 1.7848 5.9585 4.4216
O 6.7244 2.5507 4.4216
O 1.7039 0.1670 2.4698
O 1.7848 2.5507 4.0876
O 4.0876 1.7848 2.5507
O 1.7039 8.3422 6.0394
O 2.4698 1.7039 0.1670
O 6.8053 8.3422 2.4698
O 5.9585 4.4216 1.7848
O 2.5507 4.0876 1.7848
O 5.9585 4.0876 6.7244
O 8.3422 2.4698 6.8053
O 0.1670 6.0394 6.8053
O 4.4216 6.7244 2.5507
O 2.4698 6.8053 8.3422
O 6.0394 1.7039 8.3422
O 2.5507 4.4216 6.7244
O 6.8053 0.1670 6.0394
O 4.4216 1.7848 5.9585
O 8.3422 6.0394 1.7039
Bi 2.1273 6.3819 2.1273
Bi 2.1273 2.1273 6.3819
Bi 6.3819 6.3819 6.3819
Bi 6.3819 2.1273 2.1273
Sb 2.1273 6.3819 6.3819
Sb 2.1273 2.1273 2.1273
Sb 6.3819 6.3819 2.1273
Sb 6.3819 2.1273 6.3819
```

Output
The formation energy from the elements comes out at -2407 meV/atom. For the magnetization, the calculation gives 55.768 μB/cell. The distance to the lowest polymorph of the same formula comes out at 0.0 meV per atom.

=====

Below is a relaxed structure of Eu2BiSbO6, with properties calculated at the PBE-GGA level.

```
10
Lattice="4.7290 2.7163 -2.6121 -0.0065 1.0085 -5.9622 -0.5401 5.6404 -2.1118" Properties=species:S:1:pos:R:3 pbc="T T T"
O 3.3206 4.2350 -6.8527
O 0.8618 5.1300 -3.8333
O 3.0713 6.3991 -5.0537
O 0.8588 5.6012 -6.6190
O 3.3237 3.7639 -4.0671
O 1.1112 2.9660 -5.6323
Bi 0.0000 0.0000 0.0000
Sb 2.0912 4.6825 -5.3430
Eu 3.1368 7.0238 -8.0145
Eu 1.0456 2.3413 -2.6715
```

Output
The formation energy from the elements comes out at -2317 meV/atom. For the magnetization, the calculation gives 14.000 μB/cell. The distance to the lowest polymorph of the same formula comes out at 90.4 meV per atom.

=====

Below is a relaxed structure of Sr2EuBiO6, with properties calculated at the PBE-GGA level.

```
10
Lattice="0.0000 -4.3435 -4.3435 4.3435 0.0000 -4.3435 4.3435 -4.3435 0.0000" Properties=species:S:1:pos:R:3 pbc="T T T"
Bi 0.0000 0.0000 0.0000
O 6.5796 -4.3435 -4.3435
O 4.3435 -2.1075 -4.3435
O 4.3435 -6.5796 -4.3435
O 4.3435 -4.3435 -6.5796
O 2.1075 -4.3435 -4.3435
O 4.3435 -4.3435 -2.1075
Eu 4.3435 -4.3435 -4.3435
Sr 6.5153 -6.5153 -6.5153
Sr 2.1718 -2.1718 -2.1718
```

Output
The formation energy from the elements comes out at -2512 meV/atom. For the magnetization, the calculation gives 6.000 μB/cell.

=====

Below is a relaxed structure of Sr2EuBiO6, with properties calculated at the PBE-GGA level.

```
20
Lattice="4.8966 0.0000 -3.4210 0.0000 6.1645 0.0000 4.9074 0.0000 7.0077" Properties=species:S:1:pos:R:3 pbc="T T T"
O 1.6551 1.1978 -0.6543
O 3.2469 4.2801 2.4476
O 4.2203 3.3517 -0.2291
O 5.5784 0.2695 -1.3986
O 6.1315 4.8340 1.5430
O 5.5838 2.8128 3.8157
O 3.6725 1.3305 2.0436
O 8.1490 4.9667 4.2409
O 6.5571 1.8844 1.1390
O 8.5746 1.7518 3.8369
O 4.2257 5.8950 4.9852
O 1.2295 4.4127 -0.2503
Sr 1.3083 2.7759 1.7270
Sr 8.4958 3.3886 1.8596
Sr 3.5938 5.8581 0.0663
Sr 6.2103 0.3064 3.5203
Bi 0.0000 0.0000 0.0000
Bi 4.9020 3.0823 1.7933
Eu 2.4537 0.0000 3.5038
Eu 2.4483 3.0823 -1.7105
```

Output
The formation energy from the elements comes out at -2629 meV/atom. For the magnetization, the calculation gives 12.000 μB/cell.